Version P
## Li3Co3SbO8 (GGA+U)

Data for an optimized crystal structure of Li3Co3SbO8.

Unit cell a=6.0885 b=6.1079 c=8.4473 alpha=90.69 beta=90.86 gamma=91.29
Last column: nearest neighbours and their distance in Å.
Fractional coordinates of all 30 atoms:
Li (0.0000, 0.0000, 0.0000)  6 O 2.15-2.23
Li (0.0000, 0.5000, 0.0000)  6 O 2.10-2.31
Li (0.2487, 0.2491, 0.2465)  6 O 2.14-2.33
Li (0.5000, 0.0000, 0.5000)  6 O 2.13-2.28
Li (0.5000, 0.5000, 0.5000)  6 O 2.11-2.30
Li (0.7513, 0.7509, 0.7535)  6 O 2.14-2.33
Co (0.0000, 0.0000, 0.5000)  6 O 1.97-2.11
Co (0.0000, 0.5000, 0.5000)  6 O 2.14-2.17
Co (0.2441, 0.2576, 0.7571)  4 O 1.88-2.10
Co (0.5000, 0.0000, 0.0000)  6 O 1.94-2.14
Co (0.5000, 0.5000, 0.0000)  6 O 2.12-2.15
Co (0.7559, 0.7424, 0.2429)  4 O 1.88-2.10
Sb (0.2506, 0.7525, 0.7508)  6 O 1.99-2.02
Sb (0.7494, 0.2475, 0.2492)  6 O 1.99-2.02
O (0.0194, 0.9827, 0.7457)  1 Sb 2.01, 2 Co 2.08-2.14, 2 Li 2.14-2.15
O (0.0208, 0.5139, 0.7526)  1 Sb 2.00, 2 Co 2.10-2.14, 2 Li 2.10-2.21
O (0.2281, 0.2337, 0.5210)  3 Co 1.97-2.17
O (0.2433, 0.7597, 0.5155)  1 Sb 1.99, 2 Co 2.11-2.15, 1 Li 2.13
O (0.2573, 0.2470, 0.9792)  1 Co 1.88
O (0.2748, 0.7655, 0.9885)  2 Co 1.96-2.15, 1 Sb 2.01
O (0.4747, 0.5167, 0.7488)  1 Sb 2.01, 2 Co 2.09-2.13, 2 Li 2.11-2.18
O (0.4856, 0.9912, 0.7698)  1 Co 1.94, 1 Sb 2.02
O (0.5144, 0.0088, 0.2302)  1 Co 1.94, 1 Sb 2.02
O (0.5253, 0.4833, 0.2512)  1 Sb 2.01, 2 Co 2.09-2.13, 2 Li 2.11-2.18
O (0.7252, 0.2345, 0.0115)  2 Co 1.96-2.15, 1 Sb 2.01
O (0.7427, 0.7530, 0.0208)  1 Co 1.88
O (0.7567, 0.2403, 0.4845)  1 Sb 1.99, 2 Co 2.11-2.15, 1 Li 2.13
O (0.7719, 0.7663, 0.4790)  3 Co 1.97-2.17
O (0.9792, 0.4861, 0.2474)  1 Sb 2.00, 2 Co 2.10-2.14, 2 Li 2.10-2.21
O (0.9806, 0.0173, 0.2543)  1 Sb 2.01, 2 Co 2.08-2.14, 2 Li 2.14-2.15

Output
Crystal system ... triclinic
Space-group type ... No. 2

=====

Version Q
## Li3Co3SbO8 (GGA+U)

Data for an optimized crystal structure of Li3Co3SbO8.

Unit cell a=6.0005 b=6.0305 c=6.0443 alpha=119.59 beta=90.66 gamma=119.36
Last column: nearest neighbours and their distance in Å.
Fractional coordinates of all 15 atoms:
Li (0.0000, 0.0000, 0.0000)  4 O 1.90-2.07
Li (0.0000, 0.5000, 0.5000)  6 O 2.09-2.13
Li (0.5000, 0.0000, 0.0000)  2 O 1.61
Co (0.0000, 0.0000, 0.5000)  4 O 2.26-2.39
Co (0.5000, 0.0000, 0.5000)  4 O 2.12-2.35
Co (0.5000, 0.5000, 0.0000)  6 O 2.16-2.24
Sb (0.0000, 0.5000, 0.0000)  6 O 2.33-2.51
O (0.2341, 0.4394, 0.2510)  2 Li 1.90-2.09
O (0.2622, 0.9855, 0.7560)  3 Li 1.98-2.17, 1 Co 2.12
O (0.3074, 0.5503, 0.7401)  2 Li 1.96-2.13, 1 O 2.10, 1 Co 2.16
O (0.3324, 0.0667, 0.2010)  1 Li 1.61
O (0.6676, 0.9333, 0.7990)  1 Li 1.61
O (0.6926, 0.4497, 0.2599)  2 Li 1.96-2.13, 1 O 2.10, 1 Co 2.16
O (0.7378, 0.0145, 0.2440)  3 Li 1.98-2.17, 1 Co 2.12
O (0.7659, 0.5606, 0.7490)  2 Li 1.90-2.09

Output
Crystal system ... triclinic
Space-group type ... No. 2

=====

Most stable of them? version P.

=====

Version P
## Li2V3NiO8 (GGA+U)

Data for an optimized crystal structure of Li2V3NiO8.

Unit cell a=6.3863 b=6.3863 c=6.4719 alpha=105.88 beta=105.88 gamma=36.66
Last column: nearest neighbours and their distance in Å.
Fractional coordinates of all 14 atoms:
Li (0.0000, 0.0000, 0.0000)  5 O 2.02-2.15
Li (0.1207, 0.1207, 0.7031)  5 O 1.99-2.17
V (0.4498, 0.4498, 0.6178)  1 O 1.67
V (0.6685, 0.6685, 0.0450)  5 O 1.81-2.02
V (0.7719, 0.7719, 0.6352)  1 O 1.73
Ni (0.3482, 0.3482, 0.0337)  6 O 1.97-2.16
O (0.1748, 0.1748, 0.0244)  2 Li 1.99-2.08, 2 V 2.02, 1 Ni 2.09
O (0.2969, 0.2969, 0.6858)  3 V 2.03-2.04, 1 Ni 2.16, 1 Li 2.17
O (0.4163, 0.4163, 0.3491)  1 V 1.67
O (0.5135, 0.5135, 0.9921)  1 V 1.81, 2 Li 2.02
O (0.6209, 0.6209, 0.7026)  3 V 1.99-2.12, 2 Li 2.01
O (0.7168, 0.7168, 0.3577)  1 V 1.73
O (0.8205, 0.8205, 0.9840)  2 V 1.99-2.16, 2 Ni 2.05, 1 Li 2.15
O (0.9404, 0.9404, 0.6717)  3 V 1.99-2.05, 2 Li 2.04-2.14

Output
Crystal system ... monoclinic
Space-group type ... No. 8

=====

Version Q
## Li2V3NiO8 (GGA+U)

Data for an optimized crystal structure of Li2V3NiO8.

Unit cell a=5.8688 b=5.8688 c=9.7325 alpha=90.00 beta=90.00 gamma=120.00
Last column: nearest neighbours and their distance in Å.
Fractional coordinates of all 28 atoms:
Li (0.0000, 0.0000, 0.0000)  4 O 1.80-1.96
Li (0.0000, 0.0000, 0.5000)  4 O 1.80-1.96
Li (0.3333, 0.6667, 0.3991)  4 O 1.97-2.00
Li (0.6667, 0.3333, 0.8991)  4 O 1.97-2.00
V (0.1463, 0.8074, 0.7175)  5 O 1.83-2.00
V (0.1926, 0.3389, 0.7175)  5 O 1.83-2.00
V (0.3389, 0.1926, 0.2175)  5 O 1.83-2.00
V (0.6611, 0.8537, 0.7175)  5 O 1.83-2.00
V (0.8074, 0.1463, 0.2175)  5 O 1.83-2.00
V (0.8537, 0.6611, 0.2175)  5 O 1.83-2.00
Ni (0.3333, 0.6667, 0.9957)  6 O 2.10-2.17
Ni (0.6667, 0.3333, 0.4957)  6 O 2.10-2.17
O (0.0000, 0.0000, 0.3154)  1 Li 1.80, 3 V 1.97
O (0.0000, 0.0000, 0.8154)  1 Li 1.80, 3 V 1.97
O (0.0353, 0.5295, 0.8355)  1 V 1.83, 1 Li 1.97
O (0.1452, 0.3201, 0.1120)  2 V 1.94-2.00, 1 Li 1.96, 1 Ni 2.10
O (0.1749, 0.8548, 0.1120)  2 V 1.94-2.00, 1 Li 1.96, 1 Ni 2.10
O (0.3201, 0.1452, 0.6120)  2 V 1.94-2.00, 1 Li 1.96, 1 Ni 2.10
O (0.3333, 0.6667, 0.6041)  1 Li 2.00, 3 V 2.00
O (0.4705, 0.5058, 0.8355)  1 V 1.83, 1 Li 1.97
O (0.4942, 0.9647, 0.8355)  1 V 1.83, 1 Li 1.97
O (0.5058, 0.4705, 0.3355)  1 V 1.83, 1 Li 1.97
O (0.5295, 0.0353, 0.3355)  1 V 1.83, 1 Li 1.97
O (0.6667, 0.3333, 0.1041)  1 Li 2.00, 3 V 2.00
O (0.6799, 0.8251, 0.1120)  2 V 1.94-2.00, 1 Li 1.96, 1 Ni 2.10
O (0.8251, 0.6799, 0.6120)  2 V 1.94-2.00, 1 Li 1.96, 1 Ni 2.10
O (0.8548, 0.1749, 0.6120)  2 V 1.94-2.00, 1 Li 1.96, 1 Ni 2.10
O (0.9647, 0.4942, 0.3355)  1 V 1.83, 1 Li 1.97

Output
Crystal system ... trigonal
Space-group type ... No. 159

=====

Most stable of them? version Q.

=====

Version P
## LiCo3O2F6 (GGA+U)

Data for an optimized crystal structure of LiCo3O2F6.

Unit cell a=4.6021 b=5.5189 c=10.2806 alpha=82.65 beta=89.33 gamma=89.91
Last column: nearest neighbours and their distance in Å.
Fractional coordinates of all 24 atoms:
Li (0.0000, 0.0000, 0.0000)  6 F 1.98-2.13
Li (0.4989, 0.0020, 0.4956)  5 F 1.94-2.15
Co (0.0002, 0.5020, 0.4978)  2 O 1.89-1.92, 4 F 1.99-2.01
Co (0.0354, 0.7335, 0.7526)  1 O 1.80, 2 F 1.98-1.99
Co (0.4746, 0.7280, 0.2533)  2 O 1.81-1.98, 3 F 1.99-2.02
Co (0.5011, 0.5002, 0.9968)  4 F 1.92-1.98, 2 O 1.96-2.01
Co (0.5315, 0.2691, 0.7405)  1 O 1.82, 3 F 1.98-2.01
Co (0.9719, 0.2709, 0.2454)  1 O 1.82, 2 F 1.98
O (0.1905, 0.5314, 0.3298)  2 Co 1.81-1.92
O (0.3103, 0.5285, 0.8262)  2 Co 1.80-1.96
O (0.6943, 0.4775, 0.1721)  3 Co 1.82-2.01
O (0.8151, 0.4704, 0.6639)  2 Co 1.82-1.89
F (0.1988, 0.2821, 0.0716)  2 Co 1.93-2.05, 1 Li 2.03
F (0.2019, 0.7749, 0.5726)  1 Li 1.95, 2 Co 1.98-2.01
F (0.2240, 0.0322, 0.8164)  2 Co 2.01-2.05, 1 Li 2.13
F (0.2755, 0.0341, 0.3112)  2 Co 1.98-2.07, 1 Li 2.15
F (0.3049, 0.7701, 0.0717)  1 Li 1.98, 2 Co 1.98-2.02
F (0.3133, 0.2765, 0.5753)  2 Co 1.98-2.01, 1 Li 2.00
F (0.6909, 0.7263, 0.4198)  2 Co 1.99, 1 Li 2.00
F (0.6997, 0.2310, 0.9220)  2 Co 1.98-2.01, 1 Li 1.98
F (0.7263, 0.9657, 0.6834)  2 Co 1.99-2.05, 1 Li 2.19
F (0.7770, 0.9740, 0.1802)  2 Co 2.02-2.06, 1 Li 2.10
F (0.8017, 0.2277, 0.4245)  1 Li 1.94, 2 Co 1.98-2.00
F (0.8042, 0.7178, 0.9237)  2 Co 1.92-2.04, 1 Li 2.05

Output
Crystal system ... triclinic
Space-group type ... No. 1

=====

Version Q
## LiCo3O2F6 (GGA+U)

Data for an optimized crystal structure of LiCo3O2F6.

Unit cell a=5.5355 b=4.6027 c=10.2259 alpha=90.00 beta=97.21 gamma=90.00
Last column: nearest neighbours and their distance in Å.
Fractional coordinates of all 24 atoms:
Li (0.0000, 0.2493, 0.0000)  6 F 1.96-2.13
Li (0.0000, 0.7507, 0.5000)  6 F 1.96-2.13
Co (0.2646, 0.2202, 0.7555)  1 O 1.83, 4 F 1.98-2.04
Co (0.2646, 0.7798, 0.2555)  1 O 1.83, 4 F 1.98-2.04
Co (0.5021, 0.2589, 0.5045)  2 O 1.84-2.00, 4 F 1.99-2.01
Co (0.5021, 0.7411, 0.0045)  2 O 1.84-2.00, 4 F 1.99-2.01
Co (0.7305, 0.2756, 0.2451)  2 O 1.84-2.02, 3 F 1.98
Co (0.7305, 0.7244, 0.7451)  2 O 1.84-2.02, 3 F 1.98
O (0.4715, 0.0620, 0.3292)  3 Co 1.83-2.02
O (0.4715, 0.9380, 0.8292)  3 Co 1.83-2.02
O (0.5300, 0.4403, 0.6662)  2 Co 1.84
O (0.5300, 0.5597, 0.1662)  2 Co 1.84
F (0.0309, 0.4743, 0.1830)  2 Co 1.99-2.07, 1 Li 2.13
F (0.0309, 0.5257, 0.6830)  2 Co 1.99-2.07, 1 Li 2.13
F (0.2261, 0.0525, 0.5745)  1 Li 1.96, 2 Co 1.99-2.01
F (0.2261, 0.9475, 0.0745)  1 Li 1.96, 2 Co 1.99-2.01
F (0.2720, 0.4410, 0.9224)  2 Co 1.98-1.99, 1 Li 1.99
F (0.2720, 0.5590, 0.4224)  2 Co 1.98-1.99, 1 Li 1.99
F (0.7226, 0.0611, 0.0763)  2 Co 1.98-1.99, 1 Li 2.00
F (0.7226, 0.9389, 0.5763)  2 Co 1.98-1.99, 1 Li 2.00
F (0.7720, 0.4499, 0.4239)  1 Li 1.97, 2 Co 1.98-2.00
F (0.7720, 0.5501, 0.9239)  1 Li 1.97, 2 Co 1.98-2.00
F (0.9662, 0.0258, 0.8168)  2 Co 1.98-2.04, 1 Li 2.12
F (0.9662, 0.9742, 0.3168)  2 Co 1.98-2.04, 1 Li 2.12

Output
Crystal system ... monoclinic
Space-group type ... No. 7

=====

Most stable of them? version P.